The following is a PBE+U calculation of Co2O3F after structural relaxation, from Materials Project.

## Properties
* offset from the most stable computed form: 0.010 eV/atom
* total energy after the MP2020 corrections: -6.47 eV/atom
* SG: C2 (5)

a = 5.2941 Å, b = 5.2941 Å, c = 8.4861 Å
α = 89.10°, β = 89.10°, γ = 73.69°
Positions (direct):
O (0.4660, 0.4788, 0.7210)
Co (0.3745, 0.3749, 0.1246)
O (0.2720, 0.2840, 0.5253)
Co (0.2274, 0.2734, 0.7489)
O (0.0307, 0.0227, 0.7775)
O (0.2046, 0.7954, 0.5000)
F (0.8060, 0.1940, 0.5000)
O (0.9773, 0.9693, 0.2225)
Co (0.8929, 0.8578, 0.6256)
F (0.7227, 0.2773, 0.0000)
F (0.0307, 0.4599, 0.2540)
O (0.3094, 0.6906, 0.0000)
Co (0.4835, 0.5165, 0.5000)
Co (0.0311, 0.9689, 0.0000)
Co (0.6251, 0.6255, 0.8754)
O (0.2270, 0.2175, 0.9708)
Co (0.1422, 0.1071, 0.3744)
F (0.5401, 0.9693, 0.7460)
O (0.7160, 0.7280, 0.4747)
O (0.9446, 0.5540, 0.7501)
Co (0.7266, 0.7726, 0.2511)
O (0.7825, 0.7730, 0.0292)
O (0.4460, 0.0554, 0.2499)
O (0.5212, 0.5340, 0.2790)